#P
Compound: Ti3N2O3
Source: Materials Project
Functional: PBE-GGA
Structure: relaxed

Cell lengths 9.765, 3.858, 9.910 Å; angles 90.00, 90.52, 90.00 degrees
Space group Cm (No. 8)
Inequivalent atoms, fractional coordinates:
Ti  0.000  0.000  0.000 x2
Ti  0.000  0.000  0.376 x2
Ti  0.054  0.000  0.684 x2
Ti  0.152  0.500  0.192 x2
Ti  0.211  0.500  0.490 x2
Ti  0.220  0.500  0.875 x2
N  0.045  0.500  0.362 x2
N  0.089  0.000  0.180 x2
N  0.159  0.000  0.862 x2
N  0.163  0.000  0.513 x2
O  0.039  0.500  0.005 x2
O  0.108  0.500  0.685 x2
O  0.306  0.500  0.050 x2
O  0.306  0.500  0.316 x2
O  0.396  0.500  0.812 x2
O  0.400  0.500  0.553 x2


#Q
Compound: Ti3N2O3
Source: Materials Project
Functional: PBE-GGA
Structure: relaxed

Cell lengths 3.778, 9.928, 10.053 Å; angles 90.00, 90.00, 90.00 degrees
Space group Cmc2_1 (No. 36)
Inequivalent atoms, fractional coordinates:
Ti  0.000  0.135  0.000 x4
Ti  0.000  0.135  0.393 x4
Ti  0.000  0.195  0.696 x4
N  0.000  0.046  0.560 x4
N  0.000  0.303  0.866 x4
O  0.000  0.045  0.823 x4
O  0.000  0.246  0.181 x4
O  0.000  0.314  0.520 x4

Output
Its largest piezoelectric modulus is 3.8 C/m².


If we sort the structures by their calculated energies, the order from most to least stable is #P, #Q.


#P
Compound: CaSn2O4
Source: Materials Project
Functional: PBE-GGA
Structure: relaxed

Cell lengths 11.871, 6.380, 17.785 Å; angles 90.00, 94.84, 90.00 degrees
Space group Cm (No. 8)
Inequivalent atoms, fractional coordinates:
Ca  0.000  0.000  0.000 x2
Ca  0.002  0.500  0.128 x2
Ca  0.005  0.500  0.502 x2
Ca  0.170  0.000  0.835 x2
Ca  0.174  0.500  0.337 x2
Ca  0.337  0.000  0.668 x2
Sn  0.004  0.500  0.879 x2
Sn  0.087  0.250  0.668 x4
Sn  0.170  0.000  0.457 x2
Sn  0.173  0.000  0.215 x2
Sn  0.250  0.249  0.002 x4
Sn  0.334  0.500  0.792 x2
Sn  0.338  0.500  0.159 x2
Sn  0.340  0.500  0.545 x2
Sn  0.424  0.249  0.334 x4
O  0.021  0.500  0.728 x2
O  0.026  0.000  0.733 x2
O  0.073  0.258  0.410 x4
O  0.102  0.243  0.926 x4
O  0.149  0.500  0.604 x2
O  0.153  0.000  0.608 x2
O  0.180  0.500  0.067 x2
O  0.184  0.000  0.060 x2
O  0.238  0.244  0.743 x4
O  0.268  0.244  0.268 x4
O  0.314  0.000  0.937 x2
O  0.314  0.500  0.942 x2
O  0.359  0.500  0.394 x2
O  0.368  0.000  0.399 x2
O  0.400  0.264  0.075 x4
O  0.437  0.244  0.593 x4
O  0.492  0.500  0.273 x2
O  0.493  0.000  0.268 x2


#Q
Compound: CaSn2O4
Source: Materials Project
Functional: PBE-GGA
Structure: relaxed

Cell lengths 11.754, 6.431, 24.565 Å; angles 90.00, 103.09, 90.00 degrees
Space group Cm (No. 8)
Inequivalent atoms, fractional coordinates:
Ca  0.000  0.000  0.000 x2
Ca  0.001  0.500  0.501 x2
Ca  0.031  0.000  0.594 x2
Ca  0.128  0.000  0.876 x2
Ca  0.243  0.500  0.249 x2
Ca  0.257  0.000  0.752 x2
Ca  0.275  0.000  0.346 x2
Ca  0.374  0.500  0.125 x2
Sn  0.006  0.249  0.750 x4
Sn  0.027  0.500  0.092 x2
Sn  0.119  0.500  0.366 x2
Sn  0.218  0.000  0.158 x2
Sn  0.226  0.500  0.664 x2
Sn  0.250  0.250  0.000 x4
Sn  0.250  0.251  0.499 x4
Sn  0.281  0.500  0.840 x2
Sn  0.375  0.000  0.617 x2
Sn  0.470  0.500  0.413 x2
Sn  0.474  0.000  0.908 x2
Sn  0.494  0.252  0.250 x4
O  0.044  0.500  0.207 x2
O  0.045  0.000  0.202 x2
O  0.057  0.000  0.700 x2
O  0.068  0.500  0.707 x2
O  0.077  0.240  0.453 x4
O  0.082  0.244  0.945 x4
O  0.161  0.265  0.306 x4
O  0.174  0.241  0.807 x4
O  0.197  0.000  0.045 x2
O  0.198  0.500  0.541 x2
O  0.203  0.500  0.049 x2
O  0.204  0.000  0.551 x2
O  0.299  0.000  0.953 x2
O  0.300  0.000  0.450 x2
O  0.303  0.500  0.957 x2
O  0.313  0.500  0.456 x2
O  0.326  0.256  0.194 x4
O  0.332  0.257  0.703 x4
O  0.416  0.232  0.556 x4
O  0.419  0.256  0.057 x4
O  0.440  0.500  0.292 x2
O  0.441  0.000  0.301 x2
O  0.455  0.000  0.794 x2
O  0.465  0.500  0.799 x2


If we sort the structures by their calculated energies, the order from most to least stable is #P, #Q.